1.
DFT (GGA+U) results for crystalline LiMnP2O7 at its relaxed geometry.

Results
ρ   2.94 g/cm3
Energy above the lowest structure with this stoichiometry   100 meV per atom

Unit cell a=5.172 b=6.912 c=8.072 alpha=112.50 beta=90.69 gamma=92.31
Atoms (fractional coordinates):
O  0.706  0.875  0.985
O  0.724  0.645  0.156
O  0.322  0.140  0.017
O  0.048  0.945  0.236
O  0.863  0.340  0.216
O  0.852  0.702  0.473
O  0.398  0.964  0.683
O  0.938  0.055  0.790
O  0.575  0.511  0.680
O  0.426  0.500  0.327
O  0.172  0.294  0.520
O  0.565  0.018  0.304
O  0.273  0.348  0.837
O  0.127  0.651  0.776
P  0.285  0.463  0.696
P  0.231  0.111  0.825
P  0.717  0.539  0.302
P  0.760  0.887  0.176
Mn  0.244  0.216  0.272
Mn  0.779  0.766  0.730
Li  0.704  0.162  0.991
Li  0.239  0.836  0.429


2.
DFT (GGA+U) results for crystalline LiMnP2O7 at its relaxed geometry.

Results
ρ   3.13 g/cm3
Energy above the lowest structure with this stoichiometry   35 meV per atom

Unit cell a=8.465 b=6.632 c=9.109 alpha=77.74 beta=90.00 gamma=90.00
Atoms (fractional coordinates):
O  0.600  0.941  0.118
O  0.250  0.878  0.607
O  0.600  0.590  0.374
O  0.404  0.974  0.356
O  0.250  0.256  0.054
O  0.096  0.519  0.144
O  0.096  0.974  0.356
O  0.404  0.519  0.144
O  0.904  0.481  0.856
O  0.900  0.941  0.118
O  0.250  0.879  0.114
O  0.904  0.026  0.644
O  0.250  0.609  0.403
O  0.100  0.410  0.626
O  0.900  0.590  0.374
O  0.100  0.059  0.882
O  0.250  0.624  0.895
O  0.750  0.376  0.105
O  0.250  0.238  0.440
O  0.596  0.481  0.856
O  0.750  0.122  0.393
O  0.750  0.121  0.886
O  0.750  0.391  0.597
O  0.596  0.026  0.644
O  0.750  0.744  0.946
O  0.400  0.410  0.626
O  0.750  0.762  0.560
O  0.400  0.059  0.882
P  0.250  0.065  0.971
P  0.750  0.005  0.553
P  0.750  0.582  0.467
P  0.250  0.418  0.533
P  0.250  0.995  0.447
P  0.250  0.499  0.053
P  0.750  0.935  0.029
P  0.750  0.501  0.947
Li  0.418  0.776  0.758
Li  0.082  0.776  0.758
Li  0.582  0.224  0.242
Li  0.918  0.224  0.242
Mn  0.934  0.252  0.751
Mn  0.566  0.252  0.751
Mn  0.434  0.748  0.249
Mn  0.066  0.748  0.249


3.
DFT (GGA+U) results for crystalline LiMn4P7O24 at its relaxed geometry.

Results
ρ   2.95 g/cm3
Energy above the lowest structure with this stoichiometry   0 meV per atom

Unit cell a=10.390 b=10.612 c=10.798 alpha=112.37 beta=108.70 gamma=105.82
Atoms (fractional coordinates):
P  0.699  0.506  0.952
P  0.005  0.030  0.235
P  0.376  0.920  0.110
P  0.271  0.135  0.528
P  0.077  0.340  0.274
P  0.624  0.080  0.890
P  0.236  0.816  0.429
P  0.497  0.744  0.757
P  0.995  0.970  0.765
P  0.729  0.865  0.472
P  0.923  0.660  0.726
P  0.503  0.256  0.243
P  0.764  0.184  0.571
P  0.301  0.494  0.048
O  0.241  0.459  0.376
O  0.136  0.481  0.008
O  0.491  0.370  0.373
O  0.563  0.748  0.904
O  0.637  0.744  0.491
O  0.275  0.825  0.148
O  0.844  0.006  0.208
O  0.363  0.256  0.509
O  0.900  0.283  0.732
O  0.988  0.357  0.365
O  0.699  0.010  0.535
O  0.718  0.822  0.319
O  0.459  0.067  0.832
O  0.437  0.252  0.096
O  0.282  0.178  0.681
O  0.727  0.664  0.071
O  0.919  0.824  0.775
O  0.306  0.879  0.945
O  0.631  0.220  0.546
O  0.328  0.713  0.697
O  0.838  0.196  0.469
O  0.995  0.339  0.130
O  0.005  0.661  0.870
O  0.100  0.717  0.268
O  0.381  0.521  0.210
O  0.694  0.121  0.055
O  0.012  0.643  0.635
O  0.864  0.519  0.992
O  0.273  0.336  0.929
O  0.509  0.630  0.627
O  0.672  0.287  0.303
O  0.369  0.780  0.454
O  0.595  0.908  0.785
O  0.096  0.081  0.413
O  0.405  0.092  0.215
O  0.981  0.100  0.866
O  0.725  0.175  0.852
O  0.019  0.900  0.134
O  0.301  0.990  0.465
O  0.607  0.382  0.970
O  0.619  0.479  0.790
O  0.081  0.176  0.225
O  0.162  0.804  0.531
O  0.904  0.919  0.587
O  0.393  0.618  0.030
O  0.541  0.933  0.168
O  0.156  0.994  0.792
O  0.759  0.541  0.624
Mn  0.570  0.401  0.584
Mn  0.058  0.695  0.071
Mn  0.391  0.232  0.898
Mn  0.609  0.768  0.102
Mn  0.942  0.305  0.929
Mn  0.243  0.850  0.745
Mn  0.430  0.599  0.416
Mn  0.757  0.150  0.255
Li  0.982  0.593  0.428
Li  0.018  0.407  0.572


4.
DFT (GGA+U) results for crystalline LiMn4P3O12 at its relaxed geometry.

Results
Piezoelectric modulus e_max   0.11 C/m²
ρ   3.72 g/cm3
Energy above the lowest structure with this stoichiometry   22 meV per atom

Unit cell a=10.921 b=10.921 c=10.921 alpha=143.56 beta=143.56 gamma=52.48
Atoms (fractional coordinates):
O  0.906  0.699  0.229
O  0.079  0.917  0.706
O  0.671  0.877  0.338
O  0.229  0.987  0.134
O  0.280  0.551  0.708
O  0.210  0.373  0.294
O  0.667  0.329  0.206
O  0.540  0.333  0.662
O  0.323  0.094  0.792
O  0.521  0.155  0.258
O  0.083  0.790  0.162
O  0.853  0.095  0.866
O  0.737  0.479  0.634
O  0.897  0.263  0.742
O  0.449  0.156  0.729
O  0.470  0.677  0.771
O  0.427  0.720  0.271
O  0.123  0.460  0.794
O  0.301  0.530  0.208
O  0.845  0.103  0.366
O  0.013  0.147  0.242
O  0.844  0.573  0.292
O  0.627  0.921  0.838
O  0.905  0.771  0.758
P  0.527  0.125  0.902
P  0.375  0.473  0.598
P  0.750  0.250  0.500
P  0.000  0.000  0.000
P  0.223  0.625  0.098
P  0.875  0.777  0.402
Mn  0.768  0.768  0.000
Mn  0.639  0.625  0.514
Mn  0.111  0.125  0.486
Mn  0.232  0.232  0.000
Mn  0.875  0.361  0.986
Mn  0.982  0.482  0.500
Mn  0.518  0.018  0.500
Mn  0.375  0.889  0.014
Li  0.250  0.750  0.500
Li  0.500  0.500  0.000


5.
DFT (GGA+U) results for crystalline Li2MnP3O10 at its relaxed geometry.

Results
ρ   2.25 g/cm3
Energy above the lowest structure with this stoichiometry   0 meV per atom

Unit cell a=8.061 b=9.951 c=11.850 alpha=86.16 beta=90.00 gamma=90.00
Atoms (fractional coordinates):
O  0.894  0.845  0.745
O  0.233  0.920  0.295
O  0.354  0.559  0.454
O  0.330  0.064  0.071
O  0.425  0.815  0.846
O  0.170  0.564  0.071
O  0.442  0.056  0.760
O  0.830  0.436  0.929
O  0.075  0.315  0.846
O  0.600  0.869  0.666
O  0.942  0.444  0.240
O  0.783  0.627  0.337
O  0.100  0.631  0.334
O  0.733  0.580  0.705
O  0.106  0.155  0.255
O  0.900  0.369  0.666
O  0.558  0.944  0.240
O  0.165  0.825  0.084
O  0.058  0.556  0.760
O  0.335  0.325  0.084
O  0.646  0.441  0.546
O  0.394  0.655  0.255
O  0.665  0.675  0.916
O  0.006  0.273  0.056
O  0.400  0.131  0.334
O  0.994  0.727  0.944
O  0.494  0.773  0.056
O  0.283  0.873  0.663
O  0.506  0.227  0.944
O  0.146  0.059  0.454
O  0.835  0.175  0.916
O  0.606  0.345  0.745
O  0.267  0.420  0.295
O  0.670  0.936  0.929
O  0.767  0.080  0.705
O  0.717  0.127  0.337
O  0.854  0.941  0.546
O  0.217  0.373  0.663
O  0.575  0.185  0.154
O  0.925  0.685  0.154
P  0.425  0.194  0.060
P  0.569  0.090  0.272
P  0.931  0.590  0.272
P  0.925  0.306  0.940
P  0.212  0.064  0.335
P  0.288  0.564  0.335
P  0.575  0.806  0.940
P  0.075  0.694  0.060
P  0.069  0.410  0.728
P  0.788  0.936  0.665
P  0.712  0.436  0.665
P  0.431  0.910  0.728
Li  0.042  0.893  0.857
Li  0.894  0.093  0.440
Li  0.106  0.907  0.560
Li  0.606  0.593  0.440
Li  0.958  0.107  0.143
Li  0.458  0.393  0.857
Li  0.542  0.607  0.143
Li  0.394  0.407  0.560
Mn  0.138  0.368  0.168
Mn  0.638  0.132  0.832
Mn  0.362  0.868  0.168
Mn  0.862  0.632  0.832


6.
DFT (GGA+U) results for crystalline LiMnPO4 at its relaxed geometry.

Results
ρ   3.30 g/cm3
Energy above the lowest structure with this stoichiometry   82 meV per atom

Unit cell a=5.674 b=8.419 c=19.845 alpha=90.00 beta=90.00 gamma=90.00
Atoms (fractional coordinates):
O  0.570  0.718  0.744
O  0.619  0.434  0.787
O  0.070  0.282  0.256
O  0.261  0.509  0.662
O  0.119  0.934  0.713
O  0.519  0.836  0.919
O  0.473  0.110  0.725
O  0.019  0.164  0.081
O  0.329  0.965  0.037
O  0.829  0.465  0.463
O  0.374  0.232  0.435
O  0.261  0.991  0.162
O  0.176  0.006  0.499
O  0.619  0.066  0.287
O  0.449  0.220  0.094
O  0.761  0.009  0.838
O  0.325  0.536  0.880
O  0.329  0.535  0.537
O  0.755  0.999  0.170
O  0.374  0.268  0.935
O  0.019  0.336  0.581
O  0.463  0.867  0.600
O  0.519  0.664  0.419
O  0.255  0.001  0.830
O  0.570  0.782  0.244
O  0.949  0.780  0.906
O  0.755  0.501  0.670
O  0.973  0.890  0.275
O  0.761  0.491  0.338
O  0.874  0.732  0.065
O  0.949  0.720  0.406
O  0.119  0.566  0.213
O  0.963  0.133  0.400
O  0.829  0.035  0.963
O  0.825  0.464  0.120
O  0.255  0.499  0.330
O  0.176  0.494  0.999
O  0.963  0.367  0.900
O  0.676  0.506  0.001
O  0.070  0.218  0.756
O  0.676  0.994  0.501
O  0.463  0.633  0.100
O  0.325  0.964  0.380
O  0.473  0.390  0.225
O  0.449  0.280  0.594
O  0.973  0.610  0.775
O  0.825  0.036  0.620
O  0.874  0.768  0.565
P  0.208  0.085  0.430
P  0.733  0.933  0.242
P  0.708  0.585  0.070
P  0.261  0.416  0.595
P  0.733  0.567  0.742
P  0.233  0.433  0.258
P  0.761  0.916  0.905
P  0.708  0.915  0.570
P  0.233  0.067  0.758
P  0.261  0.084  0.095
P  0.761  0.584  0.405
P  0.208  0.415  0.930
Mn  0.754  0.536  0.566
Mn  0.254  0.036  0.934
Mn  0.708  0.931  0.398
Mn  0.208  0.069  0.602
Mn  0.708  0.569  0.898
Mn  0.246  0.061  0.267
Mn  0.254  0.464  0.434
Mn  0.754  0.964  0.066
Mn  0.246  0.439  0.767
Mn  0.208  0.431  0.102
Mn  0.746  0.561  0.233
Mn  0.746  0.939  0.733
Li  0.231  0.759  0.846
Li  0.231  0.741  0.346
Li  0.191  0.725  0.011
Li  0.308  0.742  0.675
Li  0.308  0.758  0.175
Li  0.731  0.241  0.154
Li  0.808  0.242  0.825
Li  0.191  0.775  0.511
Li  0.691  0.225  0.489
Li  0.691  0.275  0.989
Li  0.808  0.258  0.325
Li  0.731  0.259  0.654